[1]
A relaxed structure of He, computed with PBE-GGA.

## Properties
polymorph energy (0 for the lowest one) = 2.0 meV per atom
formation enthalpy at 0 K = 0.00 eV/atom

Lattice parameters (Å, degrees): 2.7327 2.7327 4.4493 90.00 90.00 120.00
With the nearest neighbours (Å) after each atom.
Positions (direct):
He1 0.3333 0.6667 0.2500  12 He 2.73
He2 0.6667 0.3333 0.7500  12 He 2.73


[2]
A relaxed structure of Tl4Br3Cl, computed with PBE-GGA.

## Properties
total energy after the MP2020 corrections = -23.77 eV/f.u.
formation enthalpy at 0 K = -0.94 eV/atom

Lattice parameters (Å, degrees): 4.0161 4.0161 16.0955 90.00 90.00 90.00
With the nearest neighbours (Å) after each atom.
Positions (direct):
Tl1 0.0000 0.0000 0.1216  4 Cl 3.45, 4 Br 3.50
Tl2 0.0000 0.0000 0.3749  8 Br 3.48-3.49
Tl3 0.0000 0.0000 0.6251  8 Br 3.48-3.49
Tl4 0.0000 0.0000 0.8784  4 Cl 3.45, 4 Br 3.50
Br1 0.5000 0.5000 0.2492  8 Tl 3.49-3.50
Br2 0.5000 0.5000 0.5000  8 Tl 3.48
Br3 0.5000 0.5000 0.7508  8 Tl 3.49-3.50
Cl1 0.5000 0.5000 0.0000  8 Tl 3.45


[3]
A relaxed structure of UFe2B6, computed with PBE-GGA.

## Properties
formation enthalpy at 0 K = -0.52 eV/atom

Lattice parameters (Å, degrees): 5.3363 5.3363 5.3363 146.16 110.48 79.60
With the nearest neighbours (Å) after each atom.
Positions (direct):
U1 0.0000 0.0000 0.0000  16 B 2.66-2.89
Fe1 0.3483 0.8483 0.5000  10 B 2.02-2.18
Fe2 0.6517 0.1517 0.5000  10 B 2.02-2.18
B1 0.0648 0.3041 0.7607  3 B 1.70-1.79
B2 0.3541 0.5000 0.8541  3 B 1.70-1.78
B3 0.4567 0.6959 0.7607  3 B 1.70-1.79
B4 0.5433 0.3041 0.2393  3 B 1.70-1.79
B5 0.6459 0.5000 0.1459  3 B 1.70-1.78
B6 0.9352 0.6959 0.2393  3 B 1.70-1.79


[4]
A relaxed structure of MgSb2, computed with PBE-GGA.

## Properties
total energy after the MP2020 corrections = -10.18 eV/f.u.
formation enthalpy at 0 K = -0.11 eV/atom

Lattice parameters (Å, degrees): 6.4187 6.4187 8.2025 107.33 107.33 28.84
With the nearest neighbours (Å) after each atom.
Positions (direct):
Mg1 0.0343 0.0343 0.3025  8 Sb 3.06-3.37, 2 Mg 3.20
Mg2 0.9657 0.9657 0.6975  8 Sb 3.06-3.37, 2 Mg 3.20
Sb1 0.3259 0.3259 0.3871  4 Mg 3.06-3.30, 4 Sb 3.20-3.42
Sb2 0.3758 0.3758 0.9937  3 Sb 3.06-3.20, 4 Mg 3.13-3.37
Sb3 0.6242 0.6242 0.0063  3 Sb 3.06-3.20, 4 Mg 3.13-3.37
Sb4 0.6741 0.6741 0.6129  4 Mg 3.06-3.30, 4 Sb 3.20-3.42


[5]
A relaxed structure of EuZnIn, computed with PBE-GGA.

## Properties
formation enthalpy at 0 K = -0.39 eV/atom

Lattice parameters (Å, degrees): 6.1423 6.1423 7.7445 128.63 128.63 46.35
With the nearest neighbours (Å) after each atom.
Positions (direct):
Eu1 0.0366 0.0366 0.2910  6 Zn 3.29-3.53, 6 In 3.36-3.56
Eu2 0.9634 0.9634 0.7090  6 Zn 3.29-3.53, 6 In 3.36-3.56
Zn1 0.3405 0.3405 0.2930  1 Zn 2.75, 2 In 2.80
Zn2 0.6595 0.6595 0.7070  1 Zn 2.75, 2 In 2.80
In1 0.3290 0.3290 0.8814  3 Zn 2.80-3.10, 1 In 2.94
In2 0.6710 0.6710 0.1186  3 Zn 2.80-3.10, 1 In 2.94


[6]
A relaxed structure of KCaTbBiO6, computed with PBE-GGA.

## Properties
polymorph energy (0 for the lowest one) = 0.0 meV per atom
total energy after the MP2020 corrections = -64.63 eV/f.u.
formation enthalpy at 0 K = -2.33 eV/atom

Lattice parameters (Å, degrees): 8.5359 8.5416 8.6192 90.00 90.00 90.00
With the nearest neighbours (Å) after each atom.
Positions (direct):
K1 0.2500 0.2500 0.2500  4 O 2.72
K2 0.2500 0.7500 0.7500  4 O 2.70
K3 0.7500 0.2500 0.2500  4 O 2.70
K4 0.7500 0.7500 0.7500  4 O 2.72
Ca1 0.2500 0.2500 0.7500  4 O 2.50
Ca2 0.2500 0.7500 0.2500  12 O 2.92-2.99
Ca3 0.7500 0.2500 0.7500  12 O 2.92-2.99
Ca4 0.7500 0.7500 0.2500  4 O 2.50
Tb1 0.0000 0.0000 0.0000  6 O 2.22-2.27
Tb2 0.0000 0.5000 0.5000  6 O 2.22-2.27
Tb3 0.5000 0.0000 0.5000  6 O 2.22-2.27
Tb4 0.5000 0.5000 0.0000  6 O 2.22-2.27
Bi1 0.0000 0.0000 0.5000  6 O 2.10-2.14
Bi2 0.0000 0.5000 0.0000  6 O 2.10-2.14
Bi3 0.5000 0.0000 0.0000  6 O 2.10-2.14
Bi4 0.5000 0.5000 0.5000  6 O 2.10-2.14
O1 0.0332 0.2421 0.5549  1 Bi 2.14, 1 Tb 2.27
O2 0.0332 0.2579 0.9451  1 Bi 2.14, 1 Tb 2.27
O3 0.0348 0.0154 0.2574  1 Bi 2.12, 1 Tb 2.24
O4 0.0348 0.4846 0.2426  1 Bi 2.12, 1 Tb 2.24
O5 0.2426 0.5331 0.9775  1 Bi 2.10, 1 Tb 2.22
O6 0.2426 0.9669 0.5225  1 Bi 2.10, 1 Tb 2.22
O7 0.2574 0.5331 0.5225  1 Bi 2.10, 1 Tb 2.22
O8 0.2574 0.9669 0.9775  1 Bi 2.10, 1 Tb 2.22
O9 0.4652 0.0154 0.2426  1 Bi 2.12, 1 Tb 2.24
O10 0.4652 0.4846 0.2574  1 Bi 2.12, 1 Tb 2.24
O11 0.4668 0.2421 0.9451  1 Bi 2.14, 1 Tb 2.27
O12 0.4668 0.2579 0.5549  1 Bi 2.14, 1 Tb 2.27
O13 0.5332 0.7421 0.4451  1 Bi 2.14, 1 Tb 2.27
O14 0.5332 0.7579 0.0549  1 Bi 2.14, 1 Tb 2.27
O15 0.5348 0.5154 0.7426  1 Bi 2.12, 1 Tb 2.24
O16 0.5348 0.9846 0.7574  1 Bi 2.12, 1 Tb 2.24
O17 0.7426 0.0331 0.0225  1 Bi 2.10, 1 Tb 2.22
O18 0.7426 0.4669 0.4775  1 Bi 2.10, 1 Tb 2.22
O19 0.7574 0.0331 0.4775  1 Bi 2.10, 1 Tb 2.22
O20 0.7574 0.4669 0.0225  1 Bi 2.10, 1 Tb 2.22
O21 0.9652 0.5154 0.7574  1 Bi 2.12, 1 Tb 2.24
O22 0.9652 0.9846 0.7426  1 Bi 2.12, 1 Tb 2.24
O23 0.9668 0.7421 0.0549  1 Bi 2.14, 1 Tb 2.27
O24 0.9668 0.7579 0.4451  1 Bi 2.14, 1 Tb 2.27


[7]
A relaxed structure of Pd3N, computed with PBE-GGA.

## Properties
total energy after the MP2020 corrections = -22.72 eV/f.u.
formation enthalpy at 0 K = 0.29 eV/atom

Lattice parameters (Å, degrees): 6.7721 6.7721 6.7721 109.47 109.47 109.47
With the nearest neighbours (Å) after each atom.
Positions (direct):
Pd1 0.1235 0.3128 0.8108  2 N 2.07
Pd2 0.1892 0.5020 0.3128  2 N 2.07
Pd3 0.1892 0.8765 0.6872  2 N 2.07
Pd4 0.3128 0.1892 0.5020  2 N 2.07
Pd5 0.3128 0.8108 0.1235  2 N 2.07
Pd6 0.4980 0.6872 0.8108  2 N 2.07
Pd7 0.5020 0.3128 0.1892  2 N 2.07
Pd8 0.6872 0.1892 0.8765  2 N 2.07
Pd9 0.6872 0.8108 0.4980  2 N 2.07
Pd10 0.8108 0.1235 0.3128  2 N 2.07
Pd11 0.8108 0.4980 0.6872  2 N 2.07
Pd12 0.8765 0.6872 0.1892  2 N 2.07
N1 0.0000 0.0000 0.5000  6 Pd 2.07
N2 0.0000 0.5000 0.0000  6 Pd 2.07
N3 0.5000 0.0000 0.0000  6 Pd 2.07
N4 0.5000 0.5000 0.5000  6 Pd 2.07


[8]
A relaxed structure of MgCu2Si2O6, computed with PBE-GGA.

## Properties
total energy after the MP2020 corrections = -74.20 eV/f.u.
formation enthalpy at 0 K = -2.17 eV/atom

Lattice parameters (Å, degrees): 5.8380 2.9286 8.4507 90.00 94.66 90.00
With the nearest neighbours (Å) after each atom.
Positions (direct):
Mg1 0.0000 0.0000 0.0000  6 O 2.06-2.26
Cu1 0.5000 0.0000 0.0000  4 O 2.24
Cu2 0.5000 0.0000 0.5000  4 O 2.05
Si1 0.1350 0.5000 0.7320  4 O 1.58-1.72
Si2 0.8650 0.5000 0.2680  4 O 1.58-1.72
O1 0.0207 0.0000 0.2678  2 Si 1.72
O2 0.2193 0.5000 0.9300  1 Si 1.71
O3 0.3206 0.5000 0.6061  1 Si 1.58
O4 0.6794 0.5000 0.3939  1 Si 1.58
O5 0.7807 0.5000 0.0700  1 Si 1.71
O6 0.9793 0.0000 0.7322  2 Si 1.72


Question: Which of these has the highest formation enthalpy at 0 K?
Answer: Pd3N


Question: The highest formation enthalpy at 0 K belongs to which entry?
Answer: Pd3N


Question: formation enthalpy at 0 K of number 1 (He)?
Answer: 0.00 eV/atom


Question: formation enthalpy at 0 K of number 5 (EuZnIn)?
Answer: -0.39 eV/atom